1.
The following is a DFT calculation (r2SCAN) of crystalline YbPmHg2 at its relaxed geometry.

raw total energy: -41.762 eV/atom

Structure (POSCAR):
```
YbPmHg2
1.0
0.000 3.715 3.715
3.715 0.000 3.715
3.715 3.715 0.000
Yb Pm Hg
1 1 2
direct
0.000 0.000 0.000
0.500 0.500 0.500
0.250 0.250 0.250
0.750 0.750 0.750
```


2.
The following is a DFT calculation (r2SCAN) of crystalline DyTmRh2 at its relaxed geometry.

raw total energy: -29.830 eV/atom

Structure (POSCAR):
```
DyTmRh2
1.0
0.000 3.380 3.380
3.380 0.000 3.380
3.380 3.380 0.000
Dy Tm Rh
1 1 2
direct
0.000 0.000 0.000
0.500 0.500 0.500
0.250 0.250 0.250
0.750 0.750 0.750
```


3.
The following is a DFT calculation (r2SCAN) of crystalline CaCdPt at its relaxed geometry.

raw total energy: -27.004 eV/atom

Structure (POSCAR):
```
CaCdPt
1.0
7.250 0.000 0.000
0.000 4.306 0.000
0.000 0.000 8.541
Ca Cd Pt
4 4 4
direct
0.035 0.250 0.177
0.465 0.750 0.677
0.535 0.250 0.323
0.965 0.750 0.823
0.143 0.250 0.563
0.357 0.750 0.063
0.643 0.250 0.937
0.857 0.750 0.437
0.241 0.750 0.372
0.259 0.250 0.872
0.741 0.750 0.128
0.759 0.250 0.628
```


4.
The following is a DFT calculation (r2SCAN) of crystalline Na2U2O7 at its relaxed geometry.

ΔE to the lowest computed polymorph: 0.050 eV per formula unit

Structure (POSCAR):
```
Na2U2O7
1.0
6.387 0.000 0.000
0.000 7.814 0.000
-2.474 0.000 6.411
Na U O
4 4 14
direct
0.000 0.000 0.000
0.000 0.500 0.000
0.014 0.249 0.492
0.986 0.749 0.508
0.495 0.249 0.964
0.500 0.499 0.499
0.500 0.999 0.501
0.505 0.749 0.036
0.185 0.249 0.867
0.186 0.524 0.397
0.186 0.974 0.400
0.192 0.750 0.928
0.448 0.249 0.612
0.480 0.046 0.181
0.480 0.456 0.177
0.520 0.546 0.819
0.520 0.956 0.823
0.552 0.749 0.388
0.808 0.250 0.072
0.814 0.024 0.603
0.814 0.474 0.600
0.815 0.749 0.133
```


5.
The following is a DFT calculation (r2SCAN) of crystalline MgO at its relaxed geometry.

raw total energy: -7.926 eV/atom

Structure (POSCAR):
```
MgO
1.0
3.251 0.000 0.000
-1.625 2.815 0.000
0.000 0.000 10.386
Mg O
4 4
direct
0.000 0.000 0.000
0.000 0.000 0.500
0.333 0.667 0.249
0.667 0.333 0.749
0.000 0.000 0.308
0.000 0.000 0.808
0.333 0.667 0.059
0.667 0.333 0.559
```


6.
The following is a DFT calculation (r2SCAN) of crystalline La4Os6O19 at its relaxed geometry.

raw total energy: -21.051 eV/atom

Structure (POSCAR):
```
La4Os6O19
1.0
-4.530 4.533 4.533
4.530 -4.533 4.533
4.530 4.533 -4.533
La Os O
4 6 19
direct
0.182 0.182 0.683
0.499 0.499 0.317
0.501 0.818 0.000
0.818 0.501 0.000
0.000 0.364 0.364
0.000 0.636 0.636
0.136 0.000 0.136
0.365 0.865 0.500
0.635 0.135 0.500
0.864 0.000 0.864
0.126 0.866 0.306
0.135 0.761 0.940
0.178 0.178 0.000
0.178 0.500 0.678
0.179 0.239 0.374
0.195 0.560 0.322
0.238 0.873 0.678
0.440 0.134 0.260
0.500 0.177 0.677
0.500 0.500 0.000
0.500 0.823 0.323
0.560 0.820 0.694
0.762 0.440 0.635
0.805 0.127 0.365
0.821 0.196 0.060
0.822 0.500 0.322
0.822 0.822 0.000
0.865 0.804 0.626
0.874 0.180 0.740
```


7.
The following is a DFT calculation (r2SCAN) of crystalline Cs2RuO4 at its relaxed geometry.

raw total energy: -15.724 eV/atom

Structure (POSCAR):
```
Cs2RuO4
1.0
8.513 0.000 0.000
0.000 6.471 0.000
0.000 0.000 11.490
Cs Ru O
8 4 16
direct
0.009 0.250 0.204
0.163 0.750 0.415
0.337 0.250 0.915
0.491 0.750 0.704
0.509 0.250 0.296
0.663 0.750 0.085
0.837 0.250 0.585
0.991 0.750 0.796
0.224 0.750 0.079
0.276 0.250 0.579
0.724 0.750 0.421
0.776 0.250 0.921
0.016 0.750 0.080
0.200 0.250 0.434
0.201 0.026 0.649
0.201 0.474 0.649
0.299 0.526 0.149
0.299 0.974 0.149
0.300 0.750 0.934
0.484 0.250 0.580
0.516 0.750 0.420
0.700 0.250 0.066
0.701 0.026 0.851
0.701 0.474 0.851
0.799 0.526 0.351
0.799 0.974 0.351
0.800 0.750 0.566
0.984 0.250 0.920
```


8.
The following is a DFT calculation (r2SCAN) of crystalline Er2As7Rh12 at its relaxed geometry.

raw total energy: -22.680 eV/atom

Structure (POSCAR):
```
Er2As7Rh12
1.0
9.890 0.000 0.000
-4.945 8.565 0.000
0.000 0.000 3.887
Er As Rh
2 7 12
direct
0.000 0.000 0.000
0.333 0.667 0.509
0.072 0.620 0.004
0.260 0.046 0.505
0.380 0.452 0.004
0.548 0.928 0.004
0.667 0.333 0.258
0.786 0.740 0.505
0.954 0.214 0.505
0.048 0.783 0.503
0.116 0.401 0.005
0.217 0.266 0.503
0.285 0.884 0.005
0.403 0.219 0.000
0.517 0.069 0.509
0.553 0.483 0.509
0.599 0.715 0.005
0.734 0.952 0.503
0.781 0.184 0.000
0.816 0.597 0.000
0.931 0.447 0.509
```


9.
The following is a DFT calculation (r2SCAN) of crystalline DyCo5 at its relaxed geometry.

raw total energy: -16.460 eV/atom

Structure (POSCAR):
```
DyCo5
1.0
2.528 -4.220 0.000
2.528 4.220 0.000
0.000 0.000 3.875
Dy Co
1 5
direct
0.000 0.000 0.000
0.000 0.500 0.500
0.327 0.673 0.000
0.500 0.000 0.500
0.500 0.500 0.500
0.673 0.327 0.000
```


10.
The following is a DFT calculation (r2SCAN) of crystalline Sm2Se5O13 at its relaxed geometry.

raw total energy: -12.088 eV/atom

Structure (POSCAR):
```
Sm2Se5O13
1.0
10.075 0.000 0.000
0.000 10.289 0.000
-4.890 0.000 11.916
Sm Se O
8 20 52
direct
0.062 0.179 0.420
0.062 0.321 0.920
0.180 0.744 0.410
0.180 0.756 0.910
0.820 0.244 0.090
0.820 0.256 0.590
0.938 0.679 0.080
0.938 0.821 0.580
0.104 0.083 0.727
0.104 0.417 0.227
0.155 0.066 0.179
0.155 0.434 0.679
0.350 0.731 0.196
0.350 0.769 0.696
0.361 0.079 0.039
0.361 0.421 0.539
0.417 0.019 0.603
0.417 0.481 0.103
0.583 0.519 0.897
0.583 0.981 0.397
0.639 0.579 0.461
0.639 0.921 0.961
0.650 0.231 0.304
0.650 0.269 0.804
0.845 0.566 0.321
0.845 0.934 0.821
0.896 0.583 0.773
0.896 0.917 0.273
0.015 0.561 0.912
0.015 0.939 0.412
0.019 0.667 0.736
0.019 0.833 0.236
0.054 0.185 0.091
0.054 0.315 0.591
0.089 0.574 0.267
0.089 0.926 0.767
0.179 0.738 0.098
0.179 0.762 0.598
0.206 0.126 0.308
0.206 0.132 0.944
0.206 0.368 0.444
0.206 0.374 0.808
0.284 0.126 0.560
0.284 0.374 0.060
0.330 0.097 0.169
0.330 0.403 0.669
0.335 0.731 0.815
0.335 0.769 0.315
0.344 0.582 0.517
0.344 0.918 0.017
0.364 0.557 0.213
0.364 0.943 0.713
0.369 0.604 0.011
0.369 0.896 0.511
0.631 0.104 0.489
0.631 0.396 0.989
0.636 0.057 0.287
0.636 0.443 0.787
0.656 0.082 0.983
0.656 0.418 0.483
0.665 0.231 0.685
0.665 0.269 0.185
0.670 0.597 0.331
0.670 0.903 0.831
0.716 0.626 0.940
0.716 0.874 0.440
0.794 0.626 0.192
0.794 0.632 0.556
0.794 0.868 0.056
0.794 0.874 0.692
0.821 0.238 0.402
0.821 0.262 0.902
0.911 0.074 0.233
0.911 0.426 0.733
0.946 0.685 0.409
0.946 0.815 0.909
0.981 0.167 0.764
0.981 0.333 0.264
0.985 0.061 0.588
0.985 0.439 0.088
```


11.
The following is a DFT calculation (r2SCAN) of crystalline Ag2TeO4 at its relaxed geometry.

raw total energy: -13.860 eV/atom

Structure (POSCAR):
```
Ag2TeO4
1.0
4.491 -4.638 0.000
4.491 4.638 0.000
-0.215 0.000 13.715
Ag Te O
12 6 24
direct
0.042 0.958 0.750
0.218 0.514 0.432
0.262 0.384 0.675
0.280 0.720 0.250
0.384 0.262 0.175
0.486 0.782 0.068
0.514 0.218 0.932
0.616 0.738 0.825
0.720 0.280 0.750
0.738 0.616 0.325
0.782 0.486 0.568
0.958 0.042 0.250
0.000 0.000 0.000
0.000 0.000 0.500
0.087 0.500 0.896
0.500 0.087 0.396
0.500 0.913 0.604
0.913 0.500 0.104
0.046 0.197 0.893
0.048 0.273 0.547
0.050 0.477 0.225
0.112 0.803 0.904
0.181 0.490 0.033
0.197 0.046 0.393
0.197 0.888 0.596
0.273 0.048 0.047
0.356 0.476 0.850
0.476 0.356 0.350
0.477 0.050 0.725
0.490 0.181 0.533
0.510 0.819 0.467
0.523 0.950 0.275
0.524 0.644 0.650
0.644 0.524 0.150
0.727 0.952 0.953
0.803 0.112 0.404
0.803 0.954 0.607
0.819 0.510 0.967
0.888 0.197 0.096
0.950 0.523 0.775
0.952 0.727 0.453
0.954 0.803 0.107
```


12.
The following is a DFT calculation (r2SCAN) of crystalline Cs2Bi4Se7 at its relaxed geometry.

raw total energy: -30.320 eV/atom

Structure (POSCAR):
```
Cs2Bi4Se7
1.0
13.413 0.000 0.000
0.000 4.244 0.000
-1.277 0.000 15.507
Cs Bi Se
4 8 14
direct
0.068 0.250 0.188
0.329 0.750 0.377
0.671 0.250 0.623
0.932 0.750 0.812
0.107 0.750 0.572
0.231 0.750 0.949
0.332 0.250 0.725
0.446 0.250 0.120
0.554 0.750 0.880
0.668 0.750 0.275
0.769 0.250 0.051
0.893 0.250 0.428
0.042 0.750 0.393
0.098 0.250 0.962
0.192 0.750 0.760
0.255 0.250 0.548
0.298 0.750 0.137
0.404 0.250 0.917
0.486 0.750 0.705
0.514 0.250 0.295
0.596 0.750 0.083
0.702 0.250 0.863
0.745 0.750 0.452
0.808 0.250 0.240
0.902 0.750 0.038
0.958 0.250 0.607
```


| no. | total moment (μB per formula unit) | V (A^3/atom) |
| --- | --- | --- |
| 1 | 0.00 | 25.64 |
| 2 | 0.00 | 19.30 |
| 3 | 0.00 | 22.22 |
| 4 | 0.00 | 14.54 |
| 5 | 0.00 | 11.88 |
| 6 | 0.01 | 12.84 |
| 7 | 2.00 | 22.60 |
| 8 | 0.00 | 15.68 |
| 9 | 7.97 | 13.78 |
| 10 | 0.00 | 15.44 |
| 11 | 0.00 | 13.60 |
| 12 | 0.00 | 33.95 |